1.
# NaTi4O8 (PBE, optimized geometry)
data_NaTi4O8
_cell_length_a 6.068
_cell_length_b 7.130
_cell_length_c 10.356
_cell_angle_alpha 101.09
_cell_angle_beta 91.21
_cell_angle_gamma 94.59
_space_group_name_H-M_alt 'P 1'
_space_group_IT_number 1
_space_group_name_Hall 'P 1'
loop_
_atom_site_label
_atom_site_fract_x
_atom_site_fract_y
_atom_site_fract_z
_atom_site_occupancy
Na1 0.000 0.000 0.000 1
Na2 0.272 0.002 0.270 1
Na3 0.551 0.855 0.640 1
Ti1 0.014 0.123 0.536 1
Ti2 0.031 0.442 0.082 1
Ti3 0.053 0.729 0.624 1
Ti4 0.257 0.133 0.781 1
Ti5 0.273 0.450 0.333 1
Ti6 0.310 0.726 0.871 1
Ti7 0.513 0.130 0.026 1
Ti8 0.531 0.409 0.568 1
Ti9 0.555 0.727 0.114 1
Ti10 0.756 0.133 0.284 1
Ti11 0.785 0.430 0.823 1
Ti12 0.796 0.736 0.365 1
O1 0.013 0.282 0.222 1
O2 0.053 0.568 0.924 1
O3 0.070 0.614 0.427 1
O4 0.079 0.882 0.799 1
O5 0.241 0.978 0.598 1
O6 0.251 0.244 0.973 1
O7 0.260 0.281 0.470 1
O8 0.304 0.572 0.175 1
O9 0.312 0.611 0.677 1
O10 0.319 0.883 0.053 1
O11 0.488 0.974 0.850 1
O12 0.501 0.245 0.222 1
O13 0.512 0.289 0.728 1
O14 0.553 0.573 0.432 1
O15 0.570 0.612 0.927 1
O16 0.574 0.878 0.306 1
O17 0.719 0.973 0.104 1
O18 0.741 0.241 0.474 1
O19 0.767 0.287 0.978 1
O20 0.798 0.568 0.674 1
O21 0.823 0.616 0.178 1
O22 0.845 0.881 0.550 1
O23 0.969 0.976 0.350 1
O24 0.994 0.242 0.723 1
# theoretical density	3.89	g/cm3
# energy of formation	-314	kJ/mol of atoms

2.
# Na3LaGaP3O12 (PBE, optimized geometry)
data_Na3LaGaP3O12
_cell_length_a 9.105
_cell_length_b 9.173
_cell_length_c 22.966
_cell_angle_alpha 89.78
_cell_angle_beta 89.78
_cell_angle_gamma 60.40
_space_group_name_H-M_alt 'P 1'
_space_group_IT_number 1
_space_group_name_Hall 'P 1'
loop_
_atom_site_label
_atom_site_fract_x
_atom_site_fract_y
_atom_site_fract_z
_atom_site_occupancy
Na1 0.000 0.000 0.000 1
Na2 0.000 0.353 0.743 1
Na3 0.002 0.993 0.490 1
Na4 0.041 0.286 0.411 1
Na5 0.301 0.032 0.918 1
Na6 0.301 0.661 0.411 1
Na7 0.330 0.331 0.827 1
Na8 0.334 0.689 0.073 1
Na9 0.335 0.326 0.329 1
Na10 0.362 0.634 0.742 1
Na11 0.369 0.992 0.243 1
Na12 0.637 0.358 0.241 1
Na13 0.651 0.693 0.656 1
Na14 0.660 0.305 0.919 1
Na15 0.692 0.340 0.564 1
Na16 0.695 0.967 0.073 1
Na17 0.702 0.641 0.160 1
Na18 0.966 0.688 0.566 1
La1 0.005 0.996 0.635 1
La2 0.316 0.341 0.166 1
La3 0.351 0.306 0.665 1
La4 0.678 0.669 0.819 1
La5 0.987 0.988 0.346 1
La6 0.993 0.981 0.848 1
Ga1 0.323 0.335 0.982 1
Ga2 0.342 0.316 0.470 1
Ga3 0.663 0.668 0.503 1
Ga4 0.672 0.668 0.308 1
Ga5 0.675 0.655 0.008 1
Ga6 0.997 0.003 0.143 1
P1 0.005 0.677 0.734 1
P2 0.021 0.638 0.071 1
P3 0.022 0.343 0.563 1
P4 0.308 0.703 0.241 1
P5 0.309 0.993 0.747 1
P6 0.334 0.014 0.074 1
P7 0.346 0.620 0.562 1
P8 0.375 0.644 0.918 1
P9 0.393 0.955 0.407 1
P10 0.632 0.015 0.562 1
P11 0.642 0.983 0.923 1
P12 0.648 0.328 0.073 1
P13 0.653 0.390 0.409 1
P14 0.690 0.308 0.742 1
P15 0.708 0.979 0.235 1
P16 0.965 0.639 0.411 1
P17 0.980 0.365 0.915 1
P18 0.984 0.296 0.244 1
O1 0.002 0.764 0.676 1
O2 0.002 0.787 0.413 1
O3 0.010 0.779 0.787 1
O4 0.012 0.202 0.302 1
O5 0.013 0.813 0.075 1
O6 0.069 0.546 0.129 1
O7 0.094 0.358 0.622 1
O8 0.143 0.325 0.512 1
O9 0.145 0.475 0.411 1
O10 0.147 0.307 0.235 1
O11 0.158 0.342 0.926 1
O12 0.160 0.536 0.024 1
O13 0.166 0.504 0.738 1
O14 0.172 0.996 0.082 1
O15 0.179 0.790 0.561 1
O16 0.203 0.809 0.920 1
O17 0.207 0.987 0.694 1
O18 0.210 0.816 0.187 1
O19 0.213 0.775 0.298 1
O20 0.213 0.974 0.408 1
O21 0.218 0.995 0.805 1
O22 0.305 0.136 0.022 1
O23 0.316 0.157 0.745 1
O24 0.330 0.511 0.514 1
O25 0.344 0.520 0.236 1
O26 0.359 0.485 0.927 1
O27 0.364 0.139 0.412 1
O28 0.373 0.529 0.622 1
O29 0.380 0.077 0.129 1
O30 0.464 0.616 0.858 1
O31 0.482 0.159 0.928 1
O32 0.483 0.832 0.743 1
O33 0.484 0.699 0.244 1
O34 0.484 0.841 0.459 1
O35 0.486 0.662 0.966 1
O36 0.487 0.832 0.063 1
O37 0.488 0.879 0.348 1
O38 0.492 0.368 0.412 1
O39 0.503 0.643 0.557 1
O40 0.509 0.336 0.744 1
O41 0.525 0.147 0.516 1
O42 0.526 0.130 0.230 1
O43 0.540 0.376 0.129 1
O44 0.551 0.293 0.024 1
O45 0.555 0.068 0.623 1
O46 0.618 0.919 0.863 1
O47 0.629 0.497 0.353 1
O48 0.658 0.862 0.972 1
O49 0.659 0.835 0.555 1
O50 0.671 0.477 0.464 1
O51 0.674 0.480 0.061 1
O52 0.680 0.482 0.742 1
O53 0.700 0.814 0.245 1
O54 0.779 0.023 0.288 1
O55 0.785 0.210 0.798 1
O56 0.785 0.216 0.686 1
O57 0.798 0.009 0.923 1
O58 0.809 0.002 0.561 1
O59 0.815 0.217 0.409 1
O60 0.815 0.961 0.179 1
O61 0.820 0.160 0.081 1
O62 0.820 0.472 0.248 1
O63 0.839 0.671 0.058 1
O64 0.841 0.482 0.958 1
O65 0.844 0.504 0.560 1
O66 0.849 0.653 0.737 1
O67 0.864 0.655 0.467 1
O68 0.872 0.629 0.356 1
O69 0.931 0.436 0.852 1
O70 0.955 0.199 0.192 1
O71 0.991 0.190 0.918 1
O72 0.992 0.190 0.561 1
# theoretical density	3.36	g/cm3
# energy of formation	-269	kJ/mol of atoms

3.
# ZnCl2 (PBE, optimized geometry)
data_ZnCl2
_cell_length_a 3.716
_cell_length_b 3.716
_cell_length_c 11.931
_cell_angle_alpha 90.00
_cell_angle_beta 90.00
_cell_angle_gamma 90.00
_space_group_name_H-M_alt 'P 42/n m c'
_space_group_IT_number 137
loop_
_space_group_symop_operation_xyz
'x,y,z'
'-x,-y,-z'
'-y+1/2,x,z+1/2'
'y+1/2,-x,-z+1/2'
'-x+1/2,-y+1/2,z'
'x+1/2,y+1/2,-z'
'y,-x+1/2,z+1/2'
'-y,x+1/2,-z+1/2'
'x+1/2,-y,-z'
'-x+1/2,y,z'
'-y,-x,-z+1/2'
'y,x,z+1/2'
'-x,y+1/2,-z'
'x,-y+1/2,z'
'y+1/2,x+1/2,-z+1/2'
'-y+1/2,-x+1/2,z+1/2'
loop_
_atom_site_label
_atom_site_fract_x
_atom_site_fract_y
_atom_site_fract_z
_atom_site_occupancy
Zn1 0.250 0.750 0.250 1
Cl1 0.250 0.250 0.135 1
# theoretical density	2.75	g/cm3
# energy of formation	-150	kJ/mol of atoms

- Look up the theoretical density of the third one.
  2.75 g/cm3

- The lowest energy of formation belongs to which entry?
  NaTi4O8

- The lowest energy of formation belongs to which entry?
  NaTi4O8